No. 1
DFT (PBE) results for an optimized crystal structure of Mn3Ni20P6.

Lattice parameters (Å, degrees): 10.9711 10.9711 10.9711 90.00 90.00 90.00
Space group Fm-3m (No. 225)
Unique sites:
Mn: 0.0000 0.0000 0.0000
Mn: 0.2500 0.2500 0.2500
Ni: 0.0000 0.1739 0.1739
Ni: 0.1204 0.1204 0.3796
P: 0.0000 0.0000 0.2641

Values from the calculation:
Mass density: 7.7 Mg/m³
Total energy: -740.41 eV/cell

=====

No. 2
DFT (PBE) results for an optimized crystal structure of MnNiSnPd.

Lattice parameters (Å, degrees): 6.2590 6.2590 6.2590 90.00 90.00 90.00
Space group F-43m (No. 216)
Unique sites:
Mn: 0.0000 0.0000 0.0000
Ni: 0.2500 0.2500 0.2500
Sn: 0.0000 0.0000 0.5000
Pd: 0.2500 0.2500 0.7500

Values from the calculation:
Mass density: 9.2 Mg/m³
Total energy: -100.53 eV/cell

=====

No. 3
DFT (PBE) results for an optimized crystal structure of PrMnNi4.

Lattice parameters (Å, degrees): 5.0446 5.0446 3.9779 90.00 90.00 120.00
Space group P-6m2 (No. 187)
Unique sites:
Pr: 0.0000 0.0000 0.0000
Mn: 0.3333 0.6667 0.0000
Ni: 0.5016 0.0032 0.5000
Ni: 0.6667 0.3333 0.0000

Values from the calculation:
Mass density: 8.2 Mg/m³
Total energy: -38.27 eV/cell

=====

No. 4
DFT (PBE) results for an optimized crystal structure of MnNiSb.

Lattice parameters (Å, degrees): 5.9060 5.9060 5.9060 90.00 90.00 90.00
Space group F-43m (No. 216)
Unique sites:
Mn: 0.0000 0.0000 0.0000
Ni: 0.2500 0.2500 0.2500
Sb: 0.0000 0.0000 0.5000

Values from the calculation:
Mass density: 7.6 Mg/m³
Total energy: -78.77 eV/cell

=====

No. 5
DFT (PBE) results for an optimized crystal structure of MnNiSb2.

Lattice parameters (Å, degrees): 3.9953 3.9953 5.4618 90.00 90.00 120.00
Space group P-3m1 (No. 164)
Unique sites:
Mn: 0.0000 0.0000 0.0000
Ni: 0.0000 0.0000 0.5000
Sb: 0.3333 0.6667 0.7344

Values from the calculation:
Mass density: 7.9 Mg/m³
Total energy: -23.68 eV/cell

=====

No. 6
DFT (PBE) results for an optimized crystal structure of MnNiSb.

Lattice parameters (Å, degrees): 5.9230 5.9230 5.9230 90.00 90.00 90.00
Space group F-43m (No. 216)
Unique sites:
Mn: 0.0000 0.0000 0.0000
Ni: 0.2500 0.2500 0.7500
Sb: 0.2500 0.2500 0.2500

Values from the calculation:
Mass density: 7.5 Mg/m³
Total energy: -74.92 eV/cell

=====

No. 7
DFT (PBE) results for an optimized crystal structure of ZrScMnNi3.

Lattice parameters (Å, degrees): 4.9462 4.9462 12.0780 90.00 90.00 120.00
Space group R3m (No. 160, hexagonal axes)
Unique sites:
Zr: 0.0000 0.0000 0.0000
Sc: 0.0000 0.0000 0.2505
Mn: 0.0000 0.0000 0.6252
Ni: 0.0003 0.5001 0.1254

Values from the calculation:
Mass density: 7.1 Mg/m³
Total energy: -131.15 eV/cell

=====

No. 8
DFT (PBE) results for an optimized crystal structure of MnNiSe2.

Lattice parameters (Å, degrees): 3.6386 3.6386 5.3262 90.00 90.00 120.00
Space group P-3m1 (No. 164)
Unique sites:
Mn: 0.0000 0.0000 0.0000
Ni: 0.0000 0.0000 0.5000
Se: 0.3333 0.6667 0.2417

Values from the calculation:
Mass density: 7.4 Mg/m³
Total energy: -22.89 eV/cell

=====

No. 9
DFT (PBE) results for an optimized crystal structure of MnSiNi.

Lattice parameters (Å, degrees): 5.8380 3.5655 6.8925 90.00 90.00 90.00
Space group Pnma (No. 62)
Unique sites:
Mn: 0.0316 0.2500 0.1730
Si: 0.2422 0.7500 0.3708
Ni: 0.1434 0.2500 0.5586

Values from the calculation:
Mass density: 6.6 Mg/m³
Total energy: -87.37 eV/cell

=====

No. 10
DFT (PBE) results for an optimized crystal structure of MnSiNi.

Lattice parameters (Å, degrees): 4.0564 4.0564 4.8442 90.00 90.00 120.00
Space group P6_3/mmc (No. 194)
Unique sites:
Mn: 0.3333 0.6667 0.2500
Si: 0.3333 0.6667 0.7500
Ni: 0.0000 0.0000 0.0000

Values from the calculation:
Mass density: 6.8 Mg/m³
Total energy: -42.28 eV/cell

=====

No. 11
DFT (PBE) results for an optimized crystal structure of MnSiNi.

Lattice parameters (Å, degrees): 5.4619 5.4619 5.4619 90.00 90.00 90.00
Space group F-43m (No. 216)
Unique sites:
Mn: 0.0000 0.0000 0.0000
Si: 0.0000 0.0000 0.5000
Ni: 0.2500 0.2500 0.7500

Values from the calculation:
Mass density: 5.8 Mg/m³
Total energy: -84.48 eV/cell

=====

No. 12
DFT (PBE) results for an optimized crystal structure of Mn3SiNi.

Lattice parameters (Å, degrees): 6.0535 6.0535 6.0535 90.00 90.00 90.00
Space group P2_13 (No. 198)
Unique sites:
Mn: 0.0453 0.1233 0.7964
Si: 0.0628 0.9372 0.4372
Ni: 0.1867 0.1867 0.1867

Values from the calculation:
Mass density: 7.5 Mg/m³
Total energy: -158.93 eV/cell